1.
Crystalline Hf6Al16Co7 at its relaxed geometry. Source: the Materials Project, functional PBE.

Calculated values
As for the space-group type: No. 225. The calculation puts the total energy at -6.390 eV/atom.

a = 8.4809 Å, b = 8.4809 Å, c = 8.4809 Å
α = 60.00°, β = 60.00°, γ = 60.00°
With the nearest neighbours (Å) after each atom.
Atoms (fractional coordinates):
Hf (0.1918, 0.1918, 0.8082)  8 Al 2.81-3.04, 4 Co 3.08
Hf (0.1918, 0.8082, 0.1918)  8 Al 2.81-3.04, 4 Co 3.08
Hf (0.1918, 0.8082, 0.8082)  8 Al 2.81-3.04, 4 Co 3.08
Hf (0.8082, 0.1918, 0.1918)  8 Al 2.81-3.04, 4 Co 3.08
Hf (0.8082, 0.1918, 0.8082)  8 Al 2.81-3.04, 4 Co 3.08
Hf (0.8082, 0.8082, 0.1918)  8 Al 2.81-3.04, 4 Co 3.08
Al (0.1447, 0.6184, 0.6184)  4 Co 2.46-2.65, 3 Al 2.72
Al (0.1647, 0.1647, 0.1647)  3 Co 2.45, 3 Al 2.72
Al (0.1647, 0.1647, 0.5059)  3 Co 2.45, 3 Al 2.72
Al (0.1647, 0.5059, 0.1647)  3 Co 2.45, 3 Al 2.72
Al (0.3816, 0.3816, 0.3816)  4 Co 2.46-2.65, 3 Al 2.72
Al (0.3816, 0.3816, 0.8553)  4 Co 2.46-2.65, 3 Al 2.72
Al (0.3816, 0.8553, 0.3816)  4 Co 2.46-2.65, 3 Al 2.72
Al (0.4941, 0.8353, 0.8353)  3 Co 2.45, 3 Al 2.72
Al (0.5059, 0.1647, 0.1647)  3 Co 2.45, 3 Al 2.72
Al (0.6184, 0.1447, 0.6184)  4 Co 2.46-2.65, 3 Al 2.72
Al (0.6184, 0.6184, 0.1447)  4 Co 2.46-2.65, 3 Al 2.72
Al (0.6184, 0.6184, 0.6184)  4 Co 2.46-2.65, 3 Al 2.72
Al (0.8353, 0.4941, 0.8353)  3 Co 2.45, 3 Al 2.72
Al (0.8353, 0.8353, 0.4941)  3 Co 2.45, 3 Al 2.72
Al (0.8353, 0.8353, 0.8353)  3 Co 2.45, 3 Al 2.72
Al (0.8553, 0.3816, 0.3816)  4 Co 2.46-2.65, 3 Al 2.72
Co (0.0000, 0.0000, 0.5000)  8 Al 2.45-2.65
Co (0.0000, 0.5000, 0.0000)  8 Al 2.45-2.65
Co (0.0000, 0.5000, 0.5000)  8 Al 2.45-2.65
Co (0.5000, 0.0000, 0.0000)  8 Al 2.45-2.65
Co (0.5000, 0.0000, 0.5000)  8 Al 2.45-2.65
Co (0.5000, 0.5000, 0.0000)  8 Al 2.45-2.65
Co (0.5000, 0.5000, 0.5000)  8 Al 2.46

***

2.
Crystalline Ba2LiC2O6 at its relaxed geometry. Source: the Materials Project, functional PBE.

Calculated values
For the energy above the most stable polymorph in this dataset, the calculation gives 0.000 eV per atom. As for the space-group type: No. 1. The calculation puts the total energy after the MP2020 corrections at -7.21 eV per atom.

a = 4.6558 Å, b = 5.4865 Å, c = 6.8426 Å
α = 90.41°, β = 105.23°, γ = 90.07°
With the nearest neighbours (Å) after each atom.
Atoms (fractional coordinates):
Ba (0.0000, 0.0000, 0.0000)  7 O 2.76-2.95, 1 C 2.92
Ba (0.3638, 0.4951, 0.5866)  9 O 2.70-2.98
Li (0.5772, 0.9909, 0.4229)  3 O 1.82-1.94
C (0.0367, 0.9967, 0.5807)  3 O 1.37-1.38
C (0.4362, 0.5007, 0.0615)  3 O 1.30-1.31
O (0.1938, 0.9975, 0.4377)  1 C 1.37
O (0.2595, 0.5011, 0.1795)  1 C 1.30
O (0.5162, 0.2941, 0.9958)  1 C 1.31
O (0.5166, 0.7071, 0.9971)  1 C 1.31
O (0.8752, 0.2056, 0.5905)  1 C 1.38
O (0.8792, 0.7851, 0.5903)  1 C 1.38

***

3.
Crystalline Sr3Mn2N4 at its relaxed geometry. Source: the Materials Project, functional PBE.

Calculated values
For the energy above the most stable polymorph in this dataset, the calculation gives 0.000 eV per atom. As for the space-group type: No. 52. The calculation puts the total energy after the MP2020 corrections at -7.08 eV per atom.

a = 5.9135 Å, b = 9.8727 Å, c = 9.6009 Å
α = 90.00°, β = 90.00°, γ = 90.00°
With the nearest neighbours (Å) after each atom.
Atoms (fractional coordinates):
Sr (0.1149, 0.1576, 0.0838)  4 N 2.52-2.64
Sr (0.1149, 0.3424, 0.4162)  4 N 2.52-2.64
Sr (0.2500, 0.0000, 0.4031)  6 N 2.68-2.89
Sr (0.2500, 0.5000, 0.0969)  6 N 2.68-2.89
Sr (0.3851, 0.6576, 0.4162)  4 N 2.52-2.64
Sr (0.3851, 0.8424, 0.0838)  4 N 2.52-2.64
Sr (0.6149, 0.1576, 0.9162)  4 N 2.52-2.64
Sr (0.6149, 0.3424, 0.5838)  4 N 2.52-2.64
Sr (0.7500, 0.0000, 0.5969)  6 N 2.68-2.89
Sr (0.7500, 0.5000, 0.9031)  6 N 2.68-2.89
Sr (0.8851, 0.6576, 0.5838)  4 N 2.52-2.64
Sr (0.8851, 0.8424, 0.9162)  4 N 2.52-2.64
Mn (0.1523, 0.2500, 0.7500)  4 N 1.98-2.02
Mn (0.2500, 0.0000, 0.7360)  4 N 1.85-1.87
Mn (0.2500, 0.5000, 0.7640)  4 N 1.85-1.87
Mn (0.3477, 0.7500, 0.7500)  4 N 1.98-2.02
Mn (0.6523, 0.2500, 0.2500)  4 N 1.98-2.02
Mn (0.7500, 0.0000, 0.2640)  4 N 1.85-1.87
Mn (0.7500, 0.5000, 0.2360)  4 N 1.85-1.87
Mn (0.8477, 0.7500, 0.2500)  4 N 1.98-2.02
N (0.0170, 0.0853, 0.8331)  2 Mn 1.87-1.98
N (0.0170, 0.4147, 0.6669)  2 Mn 1.87-1.98
N (0.1330, 0.6403, 0.8686)  2 Mn 1.85-2.02
N (0.1330, 0.8597, 0.6314)  2 Mn 1.85-2.02
N (0.3670, 0.1403, 0.6314)  2 Mn 1.85-2.02
N (0.3670, 0.3597, 0.8686)  2 Mn 1.85-2.02
N (0.4830, 0.5853, 0.6669)  2 Mn 1.87-1.98
N (0.4830, 0.9147, 0.8331)  2 Mn 1.87-1.98
N (0.5170, 0.0853, 0.1669)  2 Mn 1.87-1.98
N (0.5170, 0.4147, 0.3331)  2 Mn 1.87-1.98
N (0.6330, 0.6403, 0.1314)  2 Mn 1.85-2.02
N (0.6330, 0.8597, 0.3686)  2 Mn 1.85-2.02
N (0.8670, 0.1403, 0.3686)  2 Mn 1.85-2.02
N (0.8670, 0.3597, 0.1314)  2 Mn 1.85-2.02
N (0.9830, 0.5853, 0.3331)  2 Mn 1.87-1.98
N (0.9830, 0.9147, 0.1669)  2 Mn 1.87-1.98

***

Ρ across the listed records, respectively: 7.373, 3.955, 5.081 Mg/m³.